Crystalline K2CuCl4O2 at its relaxed geometry. Source: Materials Project, functional PBE.

Unit cell a=7.121 b=7.121 c=8.335 alpha=90.00 beta=90.00 gamma=90.00
Space group P4_2/mnm (No. 136)
Unique sites:
1 K 0.000 0.500 0.250 x4
2 Cu 0.000 0.000 0.000 x2
3 Cl 0.215 0.215 0.500 x4
4 Cl 0.220 0.220 0.000 x4
5 O 0.000 0.000 0.210 x4

Output
energy	-3.269	eV/atom
polymorph energy (0 for the lowest one)	260.2	meV per atom
M_tot	2.999	μB per formula unit
formation energy from the elements	-0.80	eV per atom
MP2020-corrected energy	-3.4220	eV per atom